First-principles (PBE) data for crystalline SrLiAl2B2O7 at its relaxed geometry, as listed in Materials Project.

CIF file:
```
data_SrLiAl2B2O7
_symmetry_space_group_name_H-M 'P 1'
_symmetry_Int_Tables_number 1
_cell_length_a 4.899
_cell_length_b 4.918
_cell_length_c 8.625
_cell_angle_alpha 86.94
_cell_angle_beta 73.79
_cell_angle_gamma 60.32
loop_
_symmetry_equiv_pos_as_xyz
'x,y,z'
loop_
_atom_site_label
_atom_site_fract_x
_atom_site_fract_y
_atom_site_fract_z
Sr1 0.000 0.000 0.000
Li1 0.255 0.980 0.579
Al1 0.177 0.388 0.284
Al2 0.856 0.597 0.681
B1 0.456 0.292 0.771
B2 0.555 0.712 0.200
O1 0.086 0.375 0.492
O2 0.144 0.552 0.790
O3 0.328 0.014 0.177
O4 0.498 0.990 0.751
O5 0.502 0.465 0.187
O6 0.710 0.333 0.784
O7 0.864 0.653 0.197
```

DFT formation energy: -2.933 eV/atom
Total moment: 0.00 Bohr magnetons per cell
E_tot: -7.11 eV/atom
Corrected total energy (MP2020 scheme): -0.27481 Ha/atom